Record 1
# Ho2IrRh PBE-GGA optimized geometry
data_Ho2IrRh
_cell_length_a 6.8306
_cell_length_b 6.8306
_cell_length_c 6.8306
_cell_angle_alpha 90.00
_cell_angle_beta 90.00
_cell_angle_gamma 90.00
_symmetry_space_group_name_H-M 'F m -3 m'
_symmetry_Int_Tables_number 225
_symmetry_space_group_name_Hall '-F 4 2 3'
loop_
_atom_site_label
_atom_site_type_symbol
_atom_site_fract_x
_atom_site_fract_y
_atom_site_fract_z
Ho1 Ho 0.2500 0.2500 0.2500
Ir1 Ir 0.0000 0.0000 0.0000
Rh1 Rh 0.0000 0.0000 0.5000
# VASP energy = -116.0 eV for the cell shown
# Theoretical density = 13.03 g/cm3
# ΔE_f = -0.910 eV per atom

Record 2
# Tl7Ag36Te22 PBE-GGA optimized geometry
data_Tl7Ag36Te22
_cell_length_a 18.9289
_cell_length_b 18.9289
_cell_length_c 18.9289
_cell_angle_alpha 90.00
_cell_angle_beta 90.00
_cell_angle_gamma 90.00
_symmetry_space_group_name_H-M 'F m -3 m'
_symmetry_Int_Tables_number 225
_symmetry_space_group_name_Hall '-F 4 2 3'
loop_
_atom_site_label
_atom_site_type_symbol
_atom_site_fract_x
_atom_site_fract_y
_atom_site_fract_z
Tl1 Tl 0.0000 0.0000 0.0000
Tl2 Tl 0.0000 0.0000 0.2338
Ag1 Ag 0.0000 0.1933 0.1933
Ag2 Ag 0.1317 0.1317 0.2579
Te1 Te 0.0000 0.1575 0.3425
Te2 Te 0.1092 0.1092 0.1092
Te3 Te 0.2500 0.2500 0.2500
# VASP energy = -782.7 eV for the cell shown
# Theoretical density = 7.95 g/cm3
# ΔE_f = -0.266 eV per atom

Record 3
# TbCe3O8 PBE-GGA optimized geometry
data_TbCe3O8
_cell_length_a 5.4636
_cell_length_b 5.4636
_cell_length_c 10.9171
_cell_angle_alpha 90.00
_cell_angle_beta 90.00
_cell_angle_gamma 90.00
_symmetry_space_group_name_H-M 'I 4/m m m'
_symmetry_Int_Tables_number 139
_symmetry_space_group_name_Hall '-I 4 2'
loop_
_atom_site_label
_atom_site_type_symbol
_atom_site_fract_x
_atom_site_fract_y
_atom_site_fract_z
Tb1 Tb 0.0000 0.0000 0.0000
Ce1 Ce 0.0000 0.0000 0.5000
Ce2 Ce 0.0000 0.5000 0.2500
O1 O 0.2482 0.2482 0.3742
# VASP energy = -202.7 eV for the cell shown
# Theoretical density = 7.21 g/cm3
# ΔE_f = -3.736 eV per atom

Record 4
# CeFeSb2 PBE-GGA optimized geometry
data_CeFeSb2
_cell_length_a 4.3386
_cell_length_b 4.3386
_cell_length_c 9.6456
_cell_angle_alpha 90.00
_cell_angle_beta 90.00
_cell_angle_gamma 90.00
_symmetry_space_group_name_H-M 'P 4/n m m'
_symmetry_Int_Tables_number 129
loop_
_symmetry_equiv_pos_as_xyz
'x,y,z'
'-x,-y,-z'
'-y+1/2,x,z'
'y+1/2,-x,-z'
'-x+1/2,-y+1/2,z'
'x+1/2,y+1/2,-z'
'y,-x+1/2,z'
'-y,x+1/2,-z'
'x+1/2,-y,-z'
'-x+1/2,y,z'
'-y,-x,-z'
'y,x,z'
'-x,y+1/2,-z'
'x,-y+1/2,z'
'y+1/2,x+1/2,-z'
'-y+1/2,-x+1/2,z'
loop_
_atom_site_label
_atom_site_type_symbol
_atom_site_fract_x
_atom_site_fract_y
_atom_site_fract_z
Ce1 Ce 0.2500 0.2500 0.2342
Fe1 Fe 0.2500 0.7500 0.0000
Sb1 Sb 0.2500 0.2500 0.8585
Sb2 Sb 0.2500 0.7500 0.5000
# VASP energy = -49.5 eV for the cell shown
# Theoretical density = 8.04 g/cm3
# ΔE_f = -0.623 eV per atom

Record 5
# ThInCu2 PBE-GGA optimized geometry
data_ThInCu2
_cell_length_a 6.8330
_cell_length_b 6.8330
_cell_length_c 6.8330
_cell_angle_alpha 90.00
_cell_angle_beta 90.00
_cell_angle_gamma 90.00
_symmetry_space_group_name_H-M 'F m -3 m'
_symmetry_Int_Tables_number 225
_symmetry_space_group_name_Hall '-F 4 2 3'
loop_
_atom_site_label
_atom_site_type_symbol
_atom_site_fract_x
_atom_site_fract_y
_atom_site_fract_z
Th1 Th 0.0000 0.0000 0.0000
In1 In 0.0000 0.0000 0.5000
Cu1 Cu 0.2500 0.2500 0.2500
# VASP energy = -77.4 eV for the cell shown
# Theoretical density = 9.87 g/cm3
# ΔE_f = -0.249 eV per atom

Record 6
# Hf10SiMo3 PBE-GGA optimized geometry
data_Hf10SiMo3
_cell_length_a 8.6976
_cell_length_b 8.6976
_cell_length_c 8.7484
_cell_angle_alpha 90.00
_cell_angle_beta 90.00
_cell_angle_gamma 120.00
_symmetry_space_group_name_H-M 'P 63/m m c'
_symmetry_Int_Tables_number 194
_symmetry_space_group_name_Hall '-P 6c 2c'
loop_
_atom_site_label
_atom_site_type_symbol
_atom_site_fract_x
_atom_site_fract_y
_atom_site_fract_z
Hf1 Hf 0.0000 0.0000 0.0000
Hf2 Hf 0.0762 0.5381 0.2500
Hf3 Hf 0.2002 0.4003 0.5447
Si1 Si 0.3333 0.6667 0.7500
Mo1 Mo 0.1157 0.2313 0.2500
# VASP energy = -279.9 eV for the cell shown
# Theoretical density = 12.17 g/cm3
# ΔE_f = -0.173 eV per atom